[1]
The following is a DFT calculation (PBE-GGA) of a relaxed CaMg2 crystal.

Values from the calculation:
size of the total moment: 0.00 μB/f.u.
E_form: 0.054 eV per atom
crystal system: orthorhombic

Cell: 9.120 9.120 5.617 Å, 90.00 90.00 158.25°
Atoms (fractional coordinates):
Ca 0.286 0.714 0.250
Ca 0.714 0.286 0.750
Mg 0.605 0.395 0.250
Mg 0.953 0.047 0.250
Mg 0.047 0.953 0.750
Mg 0.395 0.605 0.750

=====

[2]
The following is a DFT calculation (PBE-GGA) of a relaxed CaMg3 crystal.

Values from the calculation:
E_form: -0.054 eV per atom
crystal system: hexagonal

Cell: 6.809 6.809 5.382 Å, 90.00 90.00 120.00°
Atoms (fractional coordinates):
Ca 0.333 0.667 0.250
Ca 0.667 0.333 0.750
Mg 0.840 0.160 0.250
Mg 0.840 0.679 0.250
Mg 0.321 0.160 0.250
Mg 0.679 0.840 0.750
Mg 0.160 0.840 0.750
Mg 0.160 0.321 0.750

=====

Number 1: energy -0.12360 Ry/atom. Number 2: energy -0.12903 Ry/atom.